(1)
A plane-wave DFT calculation with GGA-PBE was carried out for Al2Si2H5C2NO10 after structural relaxation.

Properties
E_tot (eV per formula unit): -144.7
Space-group type: Cc
Density (g cm⁻³): 2.05

Cell lengths 5.214, 5.214, 21.558 Å; angles 88.99, 88.99, 119.93 degrees
Fractional positions:
H: 0.067 0.366 0.898
O: 0.139 0.444 0.506
O: 0.081 0.920 0.499
O: 0.895 0.051 0.606
O: 0.023 0.272 0.203
O: 0.444 0.139 0.006
C: 0.256 0.452 0.864
O: 0.433 0.683 0.108
O: 0.920 0.081 0.999
Si: 0.931 0.101 0.531
Al: 0.097 0.613 0.158
O: 0.683 0.433 0.608
O: 0.811 0.279 0.106
H: 0.616 0.605 0.929
Al: 0.940 0.747 0.658
O: 0.967 0.606 0.998
Al: 0.613 0.097 0.658
H: 0.720 0.576 0.243
H: 0.366 0.067 0.398
C: 0.658 0.937 0.870
H: 0.281 0.171 0.730
N: 0.544 0.669 0.890
O: 0.400 0.244 0.309
Si: 0.781 0.272 0.031
O: 0.606 0.967 0.498
O: 0.412 0.882 0.206
O: 0.804 0.660 0.202
O: 0.272 0.023 0.703
Si: 0.272 0.781 0.531
C: 0.452 0.256 0.364
O: 0.051 0.895 0.106
Si: 0.101 0.931 0.031
H: 0.011 0.402 0.737
H: 0.402 0.011 0.237
N: 0.669 0.544 0.390
O: 0.244 0.400 0.809
H: 0.605 0.616 0.429
O: 0.660 0.804 0.702
C: 0.937 0.658 0.370
Al: 0.747 0.940 0.158
H: 0.576 0.720 0.743
O: 0.279 0.811 0.606
H: 0.171 0.281 0.230
O: 0.882 0.412 0.706



(2)
A plane-wave DFT calculation with GGA-PBE was carried out for Na3AlH10C6O17 after structural relaxation.

Properties
E_tot (eV per formula unit): -231.0
Space-group type: C2/c
Density (g cm⁻³): 1.81

Cell lengths 10.724, 10.724, 15.366 Å; angles 82.19, 82.19, 71.73 degrees
Fractional positions:
H: 0.787 0.675 0.001
O: 0.910 0.431 0.327
C: 0.801 0.453 0.291
O: 0.296 0.691 0.000
O: 0.111 0.459 0.190
H: 0.316 0.129 0.379
H: 0.675 0.787 0.501
C: 0.209 0.073 0.231
H: 0.728 0.358 0.944
O: 0.024 0.720 0.306
H: 0.563 0.997 0.605
O: 0.309 0.704 0.500
C: 0.178 0.614 0.795
O: 0.943 0.119 0.850
O: 0.038 0.629 0.478
O: 0.690 0.518 0.321
O: 0.167 0.047 0.845
C: 0.770 0.555 0.688
C: 0.453 0.801 0.791
O: 0.578 0.256 0.673
H: 0.650 0.279 0.451
O: 0.289 0.283 0.033
O: 0.489 0.299 0.851
Na: 0.928 0.160 0.499
H: 0.229 0.024 0.495
O: 0.256 0.578 0.173
O: 0.962 0.371 0.522
O: 0.849 0.981 0.463
O: 0.629 0.038 0.978
O: 0.371 0.962 0.022
O: 0.889 0.541 0.810
H: 0.272 0.642 0.056
Na: 0.507 0.493 0.250
O: 0.354 0.175 0.844
O: 0.646 0.825 0.156
O: 0.280 0.976 0.194
Na: 0.160 0.928 0.999
O: 0.057 0.881 0.150
O: 0.729 0.402 0.160
O: 0.691 0.296 0.500
H: 0.358 0.728 0.444
O: 0.090 0.569 0.673
C: 0.800 0.500 0.784
C: 0.500 0.200 0.716
C: 0.791 0.927 0.769
O: 0.431 0.910 0.827
O: 0.711 0.717 0.967
H: 0.016 0.655 0.416
C: 0.386 0.822 0.705
O: 0.704 0.309 0.000
C: 0.230 0.445 0.312
O: 0.047 0.167 0.345
O: 0.981 0.849 0.963
O: 0.833 0.953 0.155
O: 0.511 0.701 0.149
O: 0.881 0.057 0.650
H: 0.437 0.003 0.395
Na: 0.072 0.840 0.501
H: 0.684 0.871 0.621
H: 0.264 0.253 0.594
O: 0.071 0.366 0.925
O: 0.195 0.202 0.707
O: 0.422 0.744 0.327
C: 0.445 0.230 0.812
O: 0.701 0.511 0.649
H: 0.024 0.229 0.995
O: 0.459 0.111 0.690
O: 0.929 0.634 0.075
O: 0.299 0.489 0.351
C: 0.547 0.199 0.209
O: 0.825 0.646 0.656
C: 0.199 0.547 0.709
H: 0.382 0.043 0.988
H: 0.279 0.650 0.951
O: 0.402 0.729 0.660
O: 0.482 0.310 0.179
H: 0.736 0.747 0.406
O: 0.518 0.690 0.821
O: 0.019 0.151 0.037
O: 0.202 0.195 0.207
O: 0.057 0.688 0.812
H: 0.811 0.007 0.406
H: 0.997 0.563 0.105
C: 0.200 0.500 0.216
O: 0.271 0.598 0.840
C: 0.882 0.945 0.684
O: 0.717 0.711 0.467
H: 0.771 0.976 0.505
H: 0.189 0.993 0.594
O: 0.953 0.833 0.655
Na: 0.493 0.507 0.750
O: 0.798 0.805 0.793
O: 0.366 0.071 0.425
C: 0.118 0.055 0.316
O: 0.976 0.280 0.694
H: 0.976 0.771 0.005
H: 0.957 0.618 0.512
O: 0.283 0.289 0.533
H: 0.984 0.345 0.584
H: 0.129 0.316 0.879
H: 0.655 0.016 0.916
O: 0.119 0.943 0.350
Na: 0.742 0.493 0.487
O: 0.312 0.943 0.688
H: 0.993 0.189 0.094
Na: 0.769 0.231 0.750
O: 0.720 0.024 0.806
O: 0.688 0.057 0.312
H: 0.007 0.811 0.906
O: 0.598 0.271 0.340
C: 0.073 0.209 0.731
Na: 0.840 0.072 0.001
C: 0.055 0.118 0.816
H: 0.043 0.382 0.488
H: 0.253 0.264 0.094
Al: 0.322 0.063 0.769
C: 0.614 0.178 0.295
H: 0.747 0.736 0.906
C: 0.822 0.386 0.205
H: 0.642 0.272 0.556
O: 0.569 0.090 0.173
Al: 0.678 0.937 0.231
Al: 0.063 0.322 0.269
O: 0.943 0.312 0.188
H: 0.325 0.213 0.499
Na: 0.507 0.258 0.013
O: 0.805 0.798 0.293
Na: 0.231 0.769 0.250
C: 0.555 0.770 0.188
C: 0.500 0.800 0.284
H: 0.003 0.437 0.895
H: 0.345 0.984 0.084
H: 0.213 0.325 0.999
O: 0.310 0.482 0.679
Na: 0.493 0.742 0.987
H: 0.618 0.957 0.012
O: 0.151 0.019 0.537
O: 0.541 0.889 0.310
H: 0.721 0.350 0.049
O: 0.175 0.354 0.344
H: 0.350 0.721 0.549
Na: 0.258 0.507 0.513
Al: 0.937 0.678 0.731
C: 0.927 0.791 0.269
H: 0.871 0.684 0.121
O: 0.634 0.929 0.575
C: 0.945 0.882 0.184
O: 0.744 0.422 0.827



(3)
A plane-wave DFT calculation with GGA-PBE was carried out for NaAlH2CO5 after structural relaxation.

Properties
E_tot (eV per formula unit): -64.2
Space-group type: Ima2
Density (g cm⁻³): 2.38

Cell lengths 6.863, 6.863, 6.863 Å; angles 131.47, 120.77, 79.99 degrees
Fractional positions:
C: 0.763 0.504 0.760
C: 0.256 0.496 0.260
O: 0.170 0.226 0.443
H: 0.745 0.284 0.960
Na: 0.507 0.004 0.003
O: 0.824 0.768 0.960
Na: 0.998 0.996 0.503
O: 0.379 0.617 0.262
Al: 0.010 0.500 0.510
O: 0.824 0.364 0.556
H: 0.343 0.284 0.560
O: 0.645 0.383 0.762
O: 0.192 0.636 0.460
O: 0.850 0.774 0.576
Al: 0.010 0.000 0.010
O: 0.217 0.774 0.943
O: 0.192 0.232 0.056
H: 0.276 0.716 0.060
H: 0.676 0.716 0.460
O: 0.803 0.226 0.076



(4)
A plane-wave DFT calculation with GGA-PBE was carried out for NaAlH2CO5 after structural relaxation.

Properties
E_tot (eV per formula unit): -64.2
Space-group type: Imma
Density (g cm⁻³): 2.34

Cell lengths 6.868, 6.868, 6.868 Å; angles 131.35, 119.42, 81.27 degrees
Fractional positions:
Al: 0.500 0.500 0.500
H: 0.826 0.279 0.547
O: 0.296 0.225 0.071
H: 0.174 0.721 0.453
O: 0.870 0.620 0.250
O: 0.315 0.364 0.549
O: 0.130 0.380 0.750
O: 0.685 0.636 0.451
Al: 0.500 0.000 0.000
O: 0.704 0.775 0.929
Na: 0.500 0.000 0.500
O: 0.685 0.234 0.049
H: 0.232 0.279 0.953
O: 0.315 0.766 0.951
O: 0.346 0.775 0.571
Na: 0.000 0.000 0.000
O: 0.654 0.225 0.429
C: 0.749 0.499 0.250
C: 0.251 0.501 0.750
H: 0.768 0.721 0.047